# 1
Material: RbNaTi2P2O10
Method: DFT, PBE-GGA
State: relaxed

Values from the calculation:
Crystal system: orthorhombic
V, Å³/cell: 890
Electronic total energy, eV/atom: -7.49
Formation enthalpy at 0 K, eV per formula unit: -48.324

a b c (Å): 12.9881 6.3999 10.7033
angles (deg): 90.00 90.00 90.00
Closest atoms and distances in Å follow each position.
Atoms (fractional coordinates):
Rb (0.0975, 0.1615, 0.0000)  8 O 2.85-3.17
Rb (0.4025, 0.6615, 0.5000)  8 O 2.85-3.17
Rb (0.5975, 0.3385, 0.0000)  8 O 2.85-3.17
Rb (0.9025, 0.8385, 0.5000)  8 O 2.85-3.17
Na (0.1507, 0.7415, 0.7200)  5 O 2.51-2.77
Na (0.3493, 0.2415, 0.2200)  5 O 2.51-2.77
Na (0.6507, 0.7585, 0.7200)  5 O 2.51-2.77
Na (0.8493, 0.2585, 0.2200)  5 O 2.51-2.77
Ti (0.1276, 0.4755, 0.4296)  3 O 1.78-1.98
Ti (0.2495, 0.2477, 0.6887)  3 O 1.79-1.99
Ti (0.2505, 0.7477, 0.1887)  3 O 1.79-1.99
Ti (0.3724, 0.9755, 0.9296)  3 O 1.78-1.98
Ti (0.6276, 0.0245, 0.4296)  3 O 1.78-1.98
Ti (0.7495, 0.2523, 0.6887)  3 O 1.79-1.99
Ti (0.7505, 0.7523, 0.1887)  3 O 1.79-1.99
Ti (0.8724, 0.5245, 0.9296)  3 O 1.78-1.98
P (0.0001, 0.3382, 0.6928)  4 O 1.53-1.57
P (0.9999, 0.6618, 0.1928)  4 O 1.53-1.57
P (0.1848, 0.9831, 0.4451)  4 O 1.54-1.56
P (0.3152, 0.4831, 0.9451)  4 O 1.54-1.56
P (0.5001, 0.1618, 0.6928)  4 O 1.53-1.57
P (0.4999, 0.8382, 0.1928)  4 O 1.53-1.57
P (0.6848, 0.5169, 0.4451)  4 O 1.54-1.56
P (0.8152, 0.0169, 0.9451)  4 O 1.54-1.56
O (0.0102, 0.5145, 0.3090)  1 P 1.57
O (0.0149, 0.4740, 0.5764)  1 P 1.53
O (0.0933, 0.1888, 0.7165)  1 P 1.56
O (0.0995, 0.7967, 0.1784)  1 P 1.56
O (0.1127, 0.1687, 0.4188)  1 P 1.54
O (0.1192, 0.7870, 0.4718)  1 P 1.54
O (0.2191, 0.4451, 0.5756)  2 Ti 1.79-1.97
O (0.2280, 0.5133, 0.3189)  1 Ti 1.78
O (0.2405, 0.4509, 0.8335)  1 P 1.55
O (0.2486, 0.5194, 0.0643)  1 P 1.56
O (0.2514, 0.0194, 0.5643)  1 P 1.56
O (0.2595, 0.9509, 0.3335)  1 P 1.55
O (0.2720, 0.0133, 0.8189)  1 Ti 1.78
O (0.2809, 0.9451, 0.0756)  2 Ti 1.79-1.97
O (0.3808, 0.2870, 0.9718)  1 P 1.54
O (0.3873, 0.6687, 0.9188)  1 P 1.54
O (0.4005, 0.2967, 0.6784)  1 P 1.56
O (0.4067, 0.6888, 0.2165)  1 P 1.56
O (0.4851, 0.9740, 0.0764)  1 P 1.53
O (0.4898, 0.0145, 0.8090)  1 P 1.57
O (0.5102, 0.9855, 0.3090)  1 P 1.57
O (0.5149, 0.0260, 0.5764)  1 P 1.53
O (0.5933, 0.3112, 0.7165)  1 P 1.56
O (0.5995, 0.7033, 0.1784)  1 P 1.56
O (0.6127, 0.3313, 0.4188)  1 P 1.54
O (0.6192, 0.7130, 0.4718)  1 P 1.54
O (0.7191, 0.0549, 0.5756)  2 Ti 1.79-1.97
O (0.7280, 0.9867, 0.3189)  1 Ti 1.78
O (0.7405, 0.0491, 0.8335)  1 P 1.55
O (0.7486, 0.9806, 0.0643)  1 P 1.56
O (0.7514, 0.4806, 0.5643)  1 P 1.56
O (0.7595, 0.5491, 0.3335)  1 P 1.55
O (0.7720, 0.4867, 0.8189)  1 Ti 1.78
O (0.7809, 0.5549, 0.0756)  2 Ti 1.79-1.97
O (0.8808, 0.2130, 0.9718)  1 P 1.54
O (0.8873, 0.8313, 0.9188)  1 P 1.54
O (0.9005, 0.2033, 0.6784)  1 P 1.56
O (0.9067, 0.8112, 0.2165)  1 P 1.56
O (0.9851, 0.5260, 0.0764)  1 P 1.53
O (0.9898, 0.4855, 0.8090)  1 P 1.57

---

# 2
Material: Ho9B5S21
Method: DFT, PBE-GGA
State: relaxed

Values from the calculation:
Crystal system: trigonal
V, Å³/cell: 1377
Electronic total energy, eV/atom: -6.06
Formation enthalpy at 0 K, eV per formula unit: -61.139

a b c (Å): 11.1555 11.1555 11.1555
angles (deg): 94.12 94.12 94.12
Closest atoms and distances in Å follow each position.
Atoms (fractional coordinates):
Ho (0.0229, 0.1832, 0.7939)  7 S 2.63-2.91
Ho (0.0264, 0.7928, 0.6372)  7 S 2.69-2.95
Ho (0.1106, 0.3454, 0.4994)  7 S 2.68-2.97
Ho (0.1269, 0.9843, 0.3427)  6 S 2.63-2.90
Ho (0.1832, 0.7939, 0.0229)  7 S 2.63-2.91
Ho (0.3190, 0.7076, 0.4719)  7 S 2.63-2.88
Ho (0.3427, 0.1269, 0.9843)  6 S 2.63-2.90
Ho (0.3454, 0.4994, 0.1106)  7 S 2.68-2.97
Ho (0.4586, 0.6786, 0.8166)  6 S 2.63-2.91
Ho (0.4719, 0.3190, 0.7076)  7 S 2.63-2.88
Ho (0.4994, 0.1106, 0.3454)  7 S 2.68-2.97
Ho (0.6372, 0.0264, 0.7928)  7 S 2.69-2.95
Ho (0.6786, 0.8166, 0.4586)  6 S 2.63-2.91
Ho (0.7076, 0.4719, 0.3190)  7 S 2.63-2.88
Ho (0.7928, 0.6372, 0.0264)  7 S 2.69-2.95
Ho (0.7939, 0.0229, 0.1832)  7 S 2.63-2.91
Ho (0.8166, 0.4586, 0.6786)  6 S 2.63-2.91
Ho (0.9843, 0.3427, 0.1269)  6 S 2.63-2.90
B (0.0211, 0.6830, 0.3459)  4 S 1.94-1.97
B (0.1811, 0.5221, 0.8470)  4 S 1.95-1.97
B (0.2849, 0.2849, 0.2849)  3 S 1.83
B (0.3459, 0.0211, 0.6830)  4 S 1.94-1.97
B (0.4591, 0.4591, 0.4591)  3 S 1.83
B (0.5221, 0.8470, 0.1811)  4 S 1.95-1.97
B (0.6830, 0.3459, 0.0211)  4 S 1.94-1.97
B (0.7851, 0.7851, 0.7851)  3 S 1.83
B (0.8470, 0.1811, 0.5221)  4 S 1.95-1.97
B (0.9595, 0.9595, 0.9595)  3 S 1.83
S (0.0060, 0.1226, 0.5501)  1 B 1.95
S (0.0684, 0.4173, 0.7346)  1 B 1.97
S (0.0810, 0.6074, 0.4885)  1 B 1.95
S (0.0811, 0.9503, 0.8586)  1 B 1.83
S (0.1226, 0.5501, 0.0060)  1 B 1.95
S (0.1504, 0.2555, 0.9966)  3 Ho 2.63-2.67
S (0.1647, 0.7405, 0.2726)  1 B 1.94
S (0.1905, 0.4121, 0.2800)  1 B 1.83
S (0.2100, 0.6810, 0.7870)  1 B 1.95
S (0.2335, 0.9161, 0.5706)  1 B 1.97
S (0.2555, 0.9966, 0.1504)  3 Ho 2.63-2.67
S (0.2726, 0.1647, 0.7405)  1 B 1.94
S (0.2800, 0.1905, 0.4121)  1 B 1.83
S (0.3403, 0.4618, 0.8698)  1 B 1.95
S (0.3446, 0.4775, 0.5669)  1 B 1.83
S (0.4016, 0.9448, 0.8275)  1 B 1.96
S (0.4121, 0.2800, 0.1905)  1 B 1.83
S (0.4173, 0.7346, 0.0684)  1 B 1.97
S (0.4618, 0.8698, 0.3403)  1 B 1.95
S (0.4775, 0.5669, 0.3446)  1 B 1.83
S (0.4885, 0.0810, 0.6074)  1 B 1.95
S (0.5133, 0.7723, 0.6158)  3 Ho 2.63-2.68
S (0.5501, 0.0060, 0.1226)  1 B 1.95
S (0.5669, 0.3446, 0.4775)  1 B 1.83
S (0.5706, 0.2335, 0.9161)  1 B 1.97
S (0.6074, 0.4885, 0.0810)  1 B 1.95
S (0.6158, 0.5133, 0.7723)  3 Ho 2.63-2.68
S (0.6764, 0.8084, 0.8980)  1 B 1.83
S (0.6810, 0.7870, 0.2100)  1 B 1.95
S (0.7346, 0.0684, 0.4173)  1 B 1.97
S (0.7405, 0.2726, 0.1647)  1 B 1.94
S (0.7723, 0.6158, 0.5133)  3 Ho 2.63-2.68
S (0.7870, 0.2100, 0.6810)  1 B 1.95
S (0.8084, 0.8980, 0.6764)  1 B 1.83
S (0.8275, 0.4016, 0.9448)  1 B 1.96
S (0.8586, 0.0811, 0.9503)  1 B 1.83
S (0.8698, 0.3403, 0.4618)  1 B 1.95
S (0.8980, 0.6764, 0.8084)  1 B 1.83
S (0.9161, 0.5706, 0.2335)  1 B 1.97
S (0.9448, 0.8275, 0.4016)  1 B 1.96
S (0.9503, 0.8586, 0.0811)  1 B 1.83
S (0.9966, 0.1504, 0.2555)  3 Ho 2.63-2.67

---

# 3
Material: DyGa2
Method: DFT, PBE-GGA
State: relaxed

Values from the calculation:
Crystal system: hexagonal
V, Å³/cell: 64
Electronic total energy, eV/atom: -4.20
Formation enthalpy at 0 K, eV per formula unit: -1.928

a b c (Å): 4.2248 4.2248 4.1088
angles (deg): 90.00 90.00 120.00
Closest atoms and distances in Å follow each position.
Atoms (fractional coordinates):
Dy (0.0000, 0.0000, 0.0000)  12 Ga 3.19
Ga (0.3333, 0.6667, 0.5000)  3 Ga 2.44
Ga (0.6667, 0.3333, 0.5000)  3 Ga 2.44

---

# 4
Material: HoGa3Ru
Method: DFT, PBE-GGA
State: relaxed

Values from the calculation:
Crystal system: cubic
V, Å³/cell: 264
Electronic total energy, eV/atom: -5.17
Formation enthalpy at 0 K, eV per formula unit: -2.931

a b c (Å): 6.4146 6.4146 6.4146
angles (deg): 90.00 90.00 90.00
Closest atoms and distances in Å follow each position.
Atoms (fractional coordinates):
Ho (0.0000, 0.0000, 0.5000)  10 Ga 2.95-3.21, 4 Ru 3.21
Ho (0.0000, 0.5000, 0.0000)  10 Ga 2.95-3.21, 4 Ru 3.21
Ho (0.5000, 0.0000, 0.0000)  10 Ga 2.95-3.21, 4 Ru 3.21
Ga (0.0000, 0.0000, 0.0000)  6 Ho 3.21, 8 Ga 3.21
Ga (0.2888, 0.2888, 0.2888)  3 Ru 2.67, 3 Ga 2.71, 3 Ho 2.95
Ga (0.2888, 0.2888, 0.7112)  3 Ru 2.67, 3 Ga 2.71, 3 Ho 2.95
Ga (0.2888, 0.7112, 0.2888)  3 Ru 2.67, 3 Ga 2.71, 3 Ho 2.95
Ga (0.2888, 0.7112, 0.7112)  3 Ru 2.67, 3 Ga 2.71, 3 Ho 2.95
Ga (0.7112, 0.2888, 0.2888)  3 Ru 2.67, 3 Ga 2.71, 3 Ho 2.95
Ga (0.7112, 0.2888, 0.7112)  3 Ru 2.67, 3 Ga 2.71, 3 Ho 2.95
Ga (0.7112, 0.7112, 0.2888)  3 Ru 2.67, 3 Ga 2.71, 3 Ho 2.95
Ga (0.7112, 0.7112, 0.7112)  3 Ru 2.67, 3 Ga 2.71, 3 Ho 2.95
Ru (0.0000, 0.5000, 0.5000)  8 Ga 2.67
Ru (0.5000, 0.0000, 0.5000)  8 Ga 2.67
Ru (0.5000, 0.5000, 0.0000)  8 Ga 2.67